1.
# SmBiTe3, relaxed, DFT GGA-PBE
data_SmBiTe3
_cell_length_a 4.4505
_cell_length_b 4.4505
_cell_length_c 31.5954
_cell_angle_alpha 90.00
_cell_angle_beta 90.00
_cell_angle_gamma 120.00
_space_group_name_H-M_alt 'R 3 m'
_space_group_IT_number 160
_space_group_name_Hall 'R 3 -2"'
loop_
_atom_site_label
_atom_site_type_symbol
_atom_site_fract_x
_atom_site_fract_y
_atom_site_fract_z
Sm1 Sm 0.0000 0.0000 0.0000
Bi1 Bi 0.0000 0.0000 0.7993
Te1 Te 0.0000 0.0000 0.1860
Te2 Te 0.0000 0.0000 0.3964
Te3 Te 0.0000 0.0000 0.6135
# ΔE_f = -1055 meV per atom



2.
# Re2P3N2Cl15O3, relaxed, DFT GGA-PBE
data_Re2P3N2Cl15O3
_cell_length_a 12.142
_cell_length_b 12.784
_cell_length_c 19.710
_cell_angle_alpha 72.17
_cell_angle_beta 73.84
_cell_angle_gamma 84.66
_space_group_name_H-M_alt 'P -1'
_space_group_IT_number 2
loop_
_space_group_symop_operation_xyz
'x,y,z'
'-x,-y,-z'
loop_
_atom_site_label
_atom_site_type_symbol
_atom_site_fract_x
_atom_site_fract_y
_atom_site_fract_z
Re1 Re 0.098 0.106 0.064
Re2 Re 0.177 0.046 0.883
Re3 Re 0.343 0.591 0.587
Re4 Re 0.380 0.556 0.401
P1 P 0.098 0.694 0.390
P2 P 0.201 0.495 0.140
P3 P 0.210 0.096 0.378
P4 P 0.258 0.002 0.696
P5 P 0.314 0.581 0.787
P6 P 0.396 0.221 0.021
N1 N 0.027 0.965 0.908
N2 N 0.151 0.077 0.965
N3 N 0.355 0.576 0.502
N4 N 0.493 0.515 0.599
Cl1 Cl 0.000 0.425 0.606
Cl2 Cl 0.001 0.779 0.455
Cl3 Cl 0.034 0.277 0.003
Cl4 Cl 0.069 0.448 0.230
Cl5 Cl 0.086 0.165 0.165
Cl6 Cl 0.092 0.202 0.819
Cl7 Cl 0.122 0.795 0.288
Cl8 Cl 0.142 0.478 0.058
Cl9 Cl 0.166 0.679 0.607
Cl10 Cl 0.173 0.656 0.831
Cl11 Cl 0.174 0.919 0.657
Cl12 Cl 0.208 0.659 0.119
Cl13 Cl 0.219 0.962 0.106
Cl14 Cl 0.255 0.425 0.661
Cl15 Cl 0.258 0.404 0.458
Cl16 Cl 0.260 0.872 0.918
Cl17 Cl 0.272 0.001 0.311
Cl18 Cl 0.279 0.025 0.464
Cl19 Cl 0.281 0.152 0.625
Cl20 Cl 0.289 0.421 0.839
Cl21 Cl 0.295 0.238 0.326
Cl22 Cl 0.356 0.121 0.822
Cl23 Cl 0.357 0.561 0.287
Cl24 Cl 0.415 0.935 0.685
Cl25 Cl 0.418 0.160 0.122
Cl26 Cl 0.435 0.760 0.549
Cl27 Cl 0.438 0.624 0.820
Cl28 Cl 0.450 0.376 0.987
Cl29 Cl 0.450 0.734 0.351
Cl30 Cl 0.486 0.853 0.042
O1 O 0.085 0.108 0.399
O2 O 0.197 0.999 0.774
O3 O 0.205 0.654 0.413
O4 O 0.278 0.211 0.017
O5 O 0.309 0.436 0.146
O6 O 0.340 0.609 0.705
# ΔE_f = -915 meV per atom